Record 1
The following is a DFT calculation (PBE) of an optimized crystal structure of RbSeO4.

Properties
* calculated formation energy: -0.964 eV/atom
* VASP energy: -4.901 eV/atom

Cell: 4.6956 7.7492 19.7528 Å, 93.03 92.28 92.21°
Sites, in units of the cell vectors:
1 Rb 0.1329 0.1790 0.0895
2 Rb 0.3009 0.2614 0.7519
3 Rb 0.3107 0.1761 0.4074
4 Rb 0.6893 0.8239 0.5926
5 Rb 0.6991 0.7386 0.2481
6 Rb 0.8671 0.8210 0.9105
7 Se 0.1627 0.6754 0.4097
8 Se 0.2547 0.6783 0.0778
9 Se 0.2988 0.7574 0.7519
10 Se 0.7012 0.2426 0.2481
11 Se 0.7453 0.3217 0.9222
12 Se 0.8373 0.3246 0.5903
13 O 0.0362 0.6230 0.7787
14 O 0.0548 0.4622 0.9690
15 O 0.0745 0.7865 0.1342
16 O 0.0746 0.7946 0.4775
17 O 0.1108 0.4631 0.6197
18 O 0.1888 0.8731 0.6881
19 O 0.2549 0.7996 0.3472
20 O 0.3772 0.7996 0.0181
21 O 0.4198 0.8875 0.8175
22 O 0.4350 0.5478 0.4331
23 O 0.4417 0.3750 0.2754
24 O 0.4625 0.5325 0.1083
25 O 0.5375 0.4675 0.8917
26 O 0.5583 0.6250 0.7246
27 O 0.5650 0.4522 0.5669
28 O 0.5802 0.1125 0.1825
29 O 0.6228 0.2004 0.9819
30 O 0.7451 0.2004 0.6528
31 O 0.8112 0.1269 0.3119
32 O 0.8892 0.5369 0.3803
33 O 0.9254 0.2054 0.5225
34 O 0.9255 0.2135 0.8658
35 O 0.9452 0.5378 0.0310
36 O 0.9638 0.3770 0.2213



Record 2
The following is a DFT calculation (PBE) of an optimized crystal structure of Rb3Se2O8.

Properties
* polymorph energy (0 for the lowest one): 0.102 eV per formula unit
* calculated formation energy: -1.587 eV/atom
* VASP energy: -4.974 eV/atom

Cell: 6.1584 6.1584 8.5283 Å, 112.51 112.51 60.12°
Sites, in units of the cell vectors:
1 Rb 0.0000 0.0000 0.0000
2 Rb 0.2103 0.1998 0.6141
3 Rb 0.8002 0.7897 0.3859
4 Se 0.4177 0.3931 0.2279
5 Se 0.6069 0.5823 0.7721
6 O 0.2843 0.7153 0.2790
7 O 0.2847 0.7157 0.7210
8 O 0.2921 0.2794 0.3051
9 O 0.3653 0.2812 0.0089
10 O 0.7183 0.2605 0.6946
11 O 0.7188 0.6347 0.9911
12 O 0.7206 0.7079 0.6949
13 O 0.7395 0.2817 0.3054



Record 3
The following is a DFT calculation (PBE) of an optimized crystal structure of Rb2Se2O7.

Properties
* calculated formation energy: -1.554 eV/atom
* VASP energy: -5.079 eV/atom

Cell: 7.8785 7.8785 7.9880 Å, 93.20 93.20 61.54°
Sites, in units of the cell vectors:
1 Rb 0.0032 0.7061 0.6409
2 Rb 0.2939 0.9968 0.8591
3 Rb 0.7061 0.0032 0.1409
4 Rb 0.9968 0.2939 0.3591
5 Se 0.2186 0.5747 0.1368
6 Se 0.4253 0.7814 0.3632
7 Se 0.5747 0.2186 0.6368
8 Se 0.7814 0.4253 0.8632
9 O 0.0495 0.6411 0.2758
10 O 0.1542 0.7337 0.9885
11 O 0.2663 0.8458 0.5115
12 O 0.3103 0.3475 0.0725
13 O 0.3475 0.3103 0.5725
14 O 0.3589 0.9505 0.2242
15 O 0.4323 0.5677 0.2500
16 O 0.5677 0.4323 0.7500
17 O 0.6411 0.0495 0.7758
18 O 0.6525 0.6897 0.4275
19 O 0.6897 0.6525 0.9275
20 O 0.7337 0.1542 0.4885
21 O 0.8458 0.2663 0.0115
22 O 0.9505 0.3589 0.7242



Record 4
The following is a DFT calculation (PBE) of an optimized crystal structure of RbSeO4.

Properties
* calculated formation energy: -1.291 eV/atom
* VASP energy: -4.878 eV/atom

Cell: 10.9714 10.9714 4.5456 Å, 101.90 101.90 41.23°
Sites, in units of the cell vectors:
1 Rb 0.0000 0.0000 0.0000
2 Rb 0.2477 0.4226 0.4176
3 Rb 0.5774 0.7523 0.5824
4 Se 0.0814 0.2494 0.7093
5 Se 0.4953 0.5047 0.0000
6 Se 0.7506 0.9186 0.2907
7 O 0.1503 0.0602 0.5294
8 O 0.2556 0.2048 0.9036
9 O 0.3110 0.5611 0.0427
10 O 0.4389 0.6890 0.9573
11 O 0.5921 0.0181 0.5378
12 O 0.6024 0.3427 0.6974
13 O 0.6497 0.0847 0.0596
14 O 0.6573 0.3976 0.3026
15 O 0.7952 0.7444 0.0964
16 O 0.9153 0.3503 0.9404
17 O 0.9398 0.8497 0.4706
18 O 0.9819 0.4079 0.4622